A relaxed structure of Ca3B6H16O20. Source: the Materials Project, functional PBE.

## Properties
DFT total energy in eV/atom: -6.258
Spin magnetization in μB per atom: 0.000

abc: 13.1962 9.5968 13.6219
angles: 90.00 118.85 90.00
Closest atoms and distances in Å follow each position.
Space group C2/c (No. 15)
Inequivalent atoms, fractional coordinates:
Ca (0.0000, 0.2487, 0.2500) x4  8 O 2.34-2.53
Ca (0.1616, 0.4090, 0.9305) x8  7 O 2.40-2.68
B (0.0934, 0.4757, 0.1578) x8  4 O 1.48-1.52
B (0.2391, 0.1621, 0.8320) x8  4 O 1.47-1.49
B (0.2440, 0.3497, 0.3434) x8  4 O 1.46-1.51
H (0.0248, 0.3653, 0.4821) x8  1 O 0.98
H (0.0451, 0.0386, 0.4356) x8  1 O 0.99
H (0.0764, 0.0329, 0.6573) x8  1 O 1.00
H (0.0939, 0.0899, 0.8420) x8  1 O 0.97
H (0.0961, 0.3027, 0.6664) x8  1 O 1.00
H (0.1416, 0.1698, 0.1284) x8  1 O 0.97
H (0.1950, 0.1539, 0.4872) x8  1 O 0.98
H (0.2465, 0.1274, 0.3560) x8  1 O 0.99
O (0.0100, 0.3807, 0.4049) x8  1 H 0.98
O (0.0183, 0.0427, 0.1433) x8  2 H 0.99-1.00
O (0.0417, 0.3830, 0.6318) x8  1 H 1.00
O (0.1406, 0.4393, 0.2782) x8  2 B 1.49
O (0.1542, 0.1608, 0.8739) x8  1 H 0.97
O (0.1813, 0.4591, 0.1212) x8  2 B 1.48-1.49
O (0.1817, 0.1602, 0.7086) x8  2 B 1.46-1.47
O (0.1912, 0.0896, 0.5416) x8  1 H 0.98
O (0.1995, 0.2089, 0.3548) x8  1 H 0.99
O (0.2027, 0.2050, 0.1147) x8  1 H 0.97



A relaxed structure of Ge3Te2O12. Source: the Materials Project, functional PBE.

## Properties
DFT total energy in eV/atom: -5.848
Spin magnetization in μB per atom: 0.000

abc: 12.2368 12.2368 12.2368
angles: 90.00 90.00 90.00
Closest atoms and distances in Å follow each position.
Space group Ia-3d (No. 230)
Inequivalent atoms, fractional coordinates:
Ge (0.0000, 0.2500, 0.3750) x24  4 O 1.78
Te (0.0000, 0.0000, 0.0000) x16  6 O 1.95
O (0.0331, 0.0475, 0.6480) x96  1 Ge 1.78, 1 Te 1.95



A relaxed structure of Li3Sb3P8O29. Source: the Materials Project, functional PBE.

## Properties
DFT total energy in eV/atom: -6.737
Polymorph energy (0 for the lowest one) in meV per atom: 0
Spin magnetization in μB per atom: 0.000

abc: 16.8424 9.8541 14.4930
angles: 90.00 90.76 90.00
Closest atoms and distances in Å follow each position.
Space group C2/c (No. 15)
Inequivalent atoms, fractional coordinates:
Li (0.0000, 0.0000, 0.0000) x4  4 O 2.12-2.28
Li (0.1157, 0.2182, 0.0494) x8  2 O 1.94-1.95
Sb (0.0000, 0.4410, 0.7500) x4  6 O 1.97-2.00
Sb (0.2191, 0.2166, 0.2584) x8  6 O 1.97-2.01
P (0.0401, 0.2596, 0.3442) x8  4 O 1.48-1.61
P (0.1120, 0.1987, 0.8424) x8  4 O 1.49-1.60
P (0.1468, 0.0649, 0.6599) x8  4 O 1.47-1.62
P (0.1655, 0.4932, 0.1322) x8  4 O 1.47-1.60
O (0.0000, 0.2041, 0.2500) x4  2 P 1.61
O (0.0039, 0.2020, 0.0768) x8  1 P 1.48
O (0.0399, 0.4180, 0.3386) x8  1 P 1.56
O (0.0413, 0.2994, 0.8342) x8  1 P 1.55
O (0.0919, 0.0870, 0.5816) x8  1 P 1.47
O (0.0989, 0.4201, 0.6792) x8  1 P 1.57
O (0.1050, 0.0947, 0.7576) x8  2 P 1.60-1.62
O (0.1080, 0.1239, 0.9312) x8  1 P 1.49
O (0.1278, 0.2098, 0.3443) x8  1 P 1.56
O (0.1588, 0.3468, 0.1787) x8  1 P 1.60
O (0.1605, 0.4795, 0.0309) x8  1 P 1.47
O (0.1688, 0.0903, 0.1656) x8  1 P 1.58
O (0.1908, 0.2803, 0.8298) x8  1 P 1.56
O (0.2268, 0.1479, 0.6596) x8  1 P 1.57
O (0.2455, 0.4441, 0.6710) x8  1 P 1.58



A relaxed structure of AsS. Source: the Materials Project, functional PBE.

## Properties
DFT total energy in eV/atom: -4.505
Polymorph energy (0 for the lowest one) in meV per atom: 26

abc: 7.6806 10.7080 13.7188
angles: 90.00 120.53 90.00
Closest atoms and distances in Å follow each position.
Space group P2_1/c (No. 14)
Inequivalent atoms, fractional coordinates:
As (0.1569, 0.0230, 0.4139) x4  1 S 2.21
As (0.1676, 0.6520, 0.1755) x4  2 S 2.27-2.29
As (0.2040, 0.1262, 0.2602) x4  2 S 2.26-2.30
As (0.2956, 0.1595, 0.9946) x4  3 S 2.27-2.30
S (0.0464, 0.6633, 0.5847) x4  2 As 2.27-2.28
S (0.1382, 0.6616, 0.3334) x4  2 As 2.29-2.30
S (0.3495, 0.1923, 0.8483) x4  2 As 2.26-2.27
S (0.3558, 0.1399, 0.5629) x4  2 As 2.21-2.30



A relaxed structure of LiMg2Rh. Source: the Materials Project, functional PBE.

## Properties
DFT total energy in eV/atom: -3.498

abc: 6.3909 6.3909 6.3909
angles: 90.00 90.00 90.00
Closest atoms and distances in Å follow each position.
Space group Fm-3m (No. 225)
Inequivalent atoms, fractional coordinates:
Li (0.0000, 0.0000, 0.0000) x4  8 Mg 2.77
Mg (0.2500, 0.2500, 0.2500) x8  4 Li 2.77, 4 Rh 2.77
Rh (0.0000, 0.0000, 0.5000) x4  8 Mg 2.77



A relaxed structure of NaLaHfZrO6. Source: the Materials Project, functional PBE.

## Properties
DFT total energy in eV/atom: -8.535
Spin magnetization in μB per atom: 0.000

abc: 8.2759 8.2759 8.2759
angles: 90.00 90.00 90.00
Closest atoms and distances in Å follow each position.
Space group F-43m (No. 216)
Inequivalent atoms, fractional coordinates:
Na (0.0000, 0.0000, 0.0000) x4  12 O 2.93
La (0.0000, 0.0000, 0.5000) x4  12 O 2.93
Hf (0.2500, 0.2500, 0.7500) x4  6 O 2.05
Zr (0.2500, 0.2500, 0.2500) x4  6 O 2.08
O (0.0018, 0.2500, 0.7500) x24  1 Hf 2.05, 1 Zr 2.08



A relaxed structure of Al14Cu3Se24. Source: the Materials Project, functional PBE.

## Properties
DFT total energy in eV/atom: -4.312
Spin magnetization in μB per atom: 0.015

abc: 12.9194 7.5018 18.4566
angles: 90.00 90.13 90.00
Closest atoms and distances in Å follow each position.
Space group Cm (No. 8)
Inequivalent atoms, fractional coordinates:
Al (0.0000, 0.0000, 0.0000) x2  4 Se 2.45
Al (0.0014, 0.0000, 0.3817) x2  6 Se 2.51-2.66
Al (0.0870, 0.2619, 0.2061) x4  6 Se 2.52-2.64
Al (0.1664, 0.5000, 0.0479) x2  6 Se 2.52-2.64
Al (0.1718, 0.5000, 0.6657) x2  4 Se 2.41-2.50
Al (0.2538, 0.2378, 0.8723) x4  6 Se 2.51-2.64
Al (0.3252, 0.5000, 0.2060) x2  6 Se 2.52-2.63
Al (0.3312, 0.0000, 0.7110) x2  6 Se 2.55-2.62
Al (0.3350, 0.0000, 0.3352) x2  4 Se 2.40-2.48
Al (0.4200, 0.2605, 0.5402) x4  6 Se 2.53-2.64
Al (0.4915, 0.0000, 0.8722) x2  6 Se 2.51-2.64
Cu (0.1639, 0.5000, 0.4172) x2  4 Se 2.39-2.44
Cu (0.3329, 0.0000, 0.0828) x2  4 Se 2.40-2.42
Cu (0.4995, 0.5000, 0.7480) x2  4 Se 2.37-2.42
Se (0.9998, 0.0000, 0.1329) x2  4 Al 2.45-2.64
Se (0.0080, 0.5000, 0.1269) x2  1 Cu 2.40, 3 Al 2.52
Se (0.0790, 0.2376, 0.4604) x4  1 Cu 2.39, 2 Al 2.51-2.53
Se (0.0889, 0.2674, 0.9554) x4  4 Al 2.45-2.64
Se (0.1550, 0.0000, 0.2880) x2  4 Al 2.48-2.64
Se (0.1659, 0.5000, 0.8013) x2  4 Al 2.50-2.62
Se (0.1668, 0.5000, 0.2851) x2  1 Cu 2.44, 3 Al 2.52
Se (0.1741, 0.0000, 0.7940) x2  1 Cu 2.41, 3 Al 2.51-2.55
Se (0.2457, 0.2624, 0.1267) x4  1 Cu 2.41, 3 Al 2.52
Se (0.2548, 0.2333, 0.6221) x4  3 Al 2.41-2.63
Se (0.3214, 0.5000, 0.9553) x2  4 Al 2.45-2.64
Se (0.3326, 0.0000, 0.4654) x2  3 Al 2.40-2.64
Se (0.3330, 0.0000, 0.9519) x2  1 Cu 2.42, 3 Al 2.52-2.53
Se (0.3413, 0.5000, 0.4595) x2  1 Cu 2.42, 3 Al 2.52-2.54
Se (0.4126, 0.2367, 0.7934) x4  1 Cu 2.42, 3 Al 2.51-2.56
Se (0.4222, 0.2688, 0.2875) x4  4 Al 2.47-2.66
Se (0.4887, 0.0000, 0.6220) x2  4 Al 2.50-2.62
Se (0.4988, 0.5000, 0.6194) x2  1 Cu 2.37, 2 Al 2.53



A relaxed structure of Er5Si3. Source: the Materials Project, functional PBE.

## Properties
DFT total energy in eV/atom: -5.588

abc: 8.3573 8.3573 6.2823
angles: 90.00 90.00 120.00
Closest atoms and distances in Å follow each position.
Space group P6_3/mcm (No. 193)
Inequivalent atoms, fractional coordinates:
Er (0.0000, 0.2425, 0.2500) x6  3 Si 2.88-3.03
Er (0.3333, 0.6667, 0.0000) x4  6 Si 3.01, 2 Er 3.14
Si (0.0000, 0.3946, 0.7500) x6  7 Er 2.88-3.03



A relaxed structure of Li7ZrO6. Source: the Materials Project, functional PBE.

## Properties
DFT total energy in eV/atom: -5.750
Spin magnetization in μB per atom: 0.071

abc: 5.6704 5.6704 15.2235
angles: 90.00 90.00 120.00
Closest atoms and distances in Å follow each position.
Space group R3 (No. 146, hexagonal axes)
Inequivalent atoms, fractional coordinates:
Li (0.0000, 0.0000, 0.0000) x3  3 O 2.13
Li (0.0537, 0.7118, 0.8702) x9  4 O 1.89-2.06
Li (0.0584, 0.3783, 0.1036) x9  4 O 1.96-2.02
Zr (0.0000, 0.0000, 0.6531) x3  6 O 2.11-2.15
O (0.0116, 0.6313, 0.4036) x9  5 Li 1.96-2.13, 1 Zr 2.15
O (0.0146, 0.3025, 0.5685) x9  4 Li 1.89-2.06, 1 Zr 2.11



A relaxed structure of Ge. Source: the Materials Project, functional PBE.

## Properties
Piezoelectric modulus e_max in C/m2: 0.2
DFT total energy in eV/atom: -4.474
Polymorph energy (0 for the lowest one) in meV per atom: 149
Spin magnetization in μB per atom: 0.000

abc: 6.0266 6.0266 7.1059
angles: 90.00 90.00 90.00
Closest atoms and distances in Å follow each position.
Space group P4_32_12 (No. 96)
Inequivalent atoms, fractional coordinates:
Ge (0.0876, 0.0876, 0.0000) x4  4 Ge 2.52-2.53
Ge (0.1296, 0.6714, 0.0032) x8  4 Ge 2.52-2.55



Listing energy of formation from the pure elements for the structures above in their given order: -2.133, -1.655, -2.435, -0.359, -0.380, -3.502, -0.963, -0.672, -2.359, 0.149 eV per atom.